First-principles (PBE) data for a geometry-optimized TiGeTe6 structure, as listed in the Materials Project.

As for the space-group type: No. 12.

Cell lengths 7.727, 7.727, 17.827 Å; angles 75.53, 75.53, 29.49 degrees
Fractional coordinates of all 16 atoms:
Te 0.311 0.311 0.822
Te 0.689 0.689 0.178
Te 0.634 0.634 0.344
Te 0.129 0.129 0.536
Te 0.406 0.406 0.118
Te 0.092 0.092 0.745
Te 0.366 0.366 0.656
Te 0.871 0.871 0.464
Te 0.156 0.156 0.980
Te 0.594 0.594 0.882
Te 0.908 0.908 0.255
Te 0.844 0.844 0.020
Ti 0.264 0.264 0.259
Ti 0.736 0.736 0.741
Ge 0.278 0.278 0.406
Ge 0.722 0.722 0.594

---

First-principles (PBE) data for a geometry-optimized SrZn2N2 structure, as listed in the Materials Project.

As for the space-group type: No. 140. The spin magnetization is 0.0 μB per formula unit.

Cell lengths 6.000, 6.626, 7.498 Å; angles 90.00, 51.33, 56.49 degrees
Fractional coordinates of all 10 atoms:
Sr 0.000 0.000 0.250
Sr 0.000 0.000 0.750
Zn 0.734 0.766 0.133
Zn 0.734 0.500 0.633
Zn 0.266 0.500 0.367
Zn 0.266 0.234 0.867
N 0.331 0.169 0.335
N 0.331 0.500 0.835
N 0.669 0.500 0.165
N 0.669 0.831 0.665

---

First-principles (PBE) data for a geometry-optimized KCuB7O13 structure, as listed in the Materials Project.

As for the space-group type: No. 58. The spin magnetization is 1.0 μB per formula unit.

Cell lengths 4.797, 12.933, 15.571 Å; angles 90.00, 90.00, 90.00 degrees
Fractional coordinates of all 88 atoms:
B 0.300 0.565 0.726
B 0.800 0.935 0.226
B 0.923 0.382 0.000
B 0.909 0.327 0.153
B 0.091 0.673 0.153
B 0.200 0.065 0.226
B 0.077 0.618 0.000
B 0.909 0.327 0.847
B 0.700 0.435 0.726
B 0.591 0.827 0.653
B 0.570 0.187 0.196
B 0.300 0.565 0.274
B 0.430 0.813 0.804
B 0.700 0.435 0.274
B 0.091 0.673 0.847
B 0.409 0.173 0.347
B 0.577 0.882 0.500
B 0.070 0.313 0.696
B 0.930 0.687 0.304
B 0.423 0.118 0.500
B 0.570 0.187 0.804
B 0.409 0.173 0.653
B 0.430 0.813 0.196
B 0.200 0.065 0.774
B 0.800 0.935 0.774
B 0.930 0.687 0.696
B 0.070 0.313 0.304
B 0.591 0.827 0.347
O 0.171 0.066 0.500
O 0.329 0.566 0.000
O 0.775 0.919 0.687
O 0.552 0.144 0.424
O 0.624 0.888 0.832
O 0.500 0.500 0.308
O 0.000 0.000 0.808
O 0.283 0.760 0.135
O 0.225 0.081 0.687
O 0.052 0.356 0.924
O 0.783 0.740 0.635
O 0.948 0.644 0.076
O 0.552 0.144 0.576
O 0.386 0.801 0.282
O 0.217 0.260 0.635
O 0.717 0.240 0.135
O 0.671 0.434 0.000
O 0.114 0.978 0.000
O 0.124 0.612 0.668
O 0.225 0.081 0.313
O 0.376 0.112 0.168
O 0.717 0.240 0.865
O 0.725 0.419 0.813
O 0.614 0.199 0.718
O 0.886 0.699 0.218
O 0.052 0.356 0.076
O 0.283 0.760 0.865
O 0.386 0.478 0.500
O 0.876 0.388 0.668
O 0.448 0.856 0.424
O 0.376 0.112 0.832
O 0.876 0.388 0.332
O 0.448 0.856 0.576
O 0.783 0.740 0.365
O 0.217 0.260 0.365
O 0.948 0.644 0.924
O 0.275 0.581 0.187
O 0.124 0.612 0.332
O 0.114 0.301 0.782
O 0.275 0.581 0.813
O 0.886 0.022 0.000
O 0.829 0.934 0.500
O 0.500 0.500 0.692
O 0.614 0.199 0.282
O 0.624 0.888 0.168
O 0.114 0.301 0.218
O 0.886 0.699 0.782
O 0.775 0.919 0.313
O 0.614 0.522 0.500
O 0.386 0.801 0.718
O 0.725 0.419 0.187
O 0.000 0.000 0.192
Cu 0.500 0.500 0.899
Cu 0.500 0.500 0.101
Cu 0.000 0.000 0.399
Cu 0.000 0.000 0.601
K 0.860 0.305 0.500
K 0.140 0.695 0.500
K 0.640 0.805 0.000
K 0.360 0.195 0.000

---

First-principles (PBE) data for a geometry-optimized Gd2PbS4 structure, as listed in the Materials Project.

As for the space-group type: No. 122. The spin magnetization is 14.0 μB per formula unit.

Cell lengths 7.428, 7.428, 7.428 Å; angles 109.33, 109.33, 109.76 degrees
Fractional coordinates of all 14 atoms:
S 0.736 0.991 0.599
S 0.009 0.608 0.745
S 0.241 0.486 0.099
S 0.514 0.612 0.755
S 0.862 0.264 0.255
S 0.392 0.138 0.401
S 0.858 0.759 0.245
S 0.388 0.142 0.901
Pb 0.250 0.750 0.500
Pb 0.000 0.000 0.000
Gd 0.625 0.506 0.381
Gd 0.494 0.875 0.119
Gd 0.125 0.244 0.619
Gd 0.756 0.375 0.881

---

First-principles (PBE) data for a geometry-optimized CeZn4Ni structure, as listed in the Materials Project.

As for the space-group type: No. 187.

Cell lengths 4.303, 5.198, 5.197 Å; angles 59.99, 90.00, 90.00 degrees
Fractional coordinates of all 6 atoms:
Ce 0.000 0.000 0.000
Zn 0.500 0.496 0.008
Zn 0.000 0.667 0.667
Zn 0.500 0.008 0.496
Zn 0.500 0.496 0.496
Ni 0.000 0.333 0.333

---

First-principles (PBE) data for a geometry-optimized Cs2KSbCl6 structure, as listed in the Materials Project.

As for the space-group type: No. 225. The spin magnetization is 0.0 μB per formula unit.

Cell lengths 8.054, 8.054, 8.054 Å; angles 60.00, 60.00, 60.00 degrees
Fractional coordinates of all 10 atoms:
Cl 0.234 0.766 0.766
Cl 0.234 0.234 0.766
Cl 0.766 0.234 0.766
Cl 0.766 0.766 0.234
Cl 0.234 0.766 0.234
Cl 0.766 0.234 0.234
Sb 0.000 0.000 0.000
Cs 0.750 0.750 0.750
Cs 0.250 0.250 0.250
K 0.500 0.500 0.500

---

First-principles (PBE) data for a geometry-optimized TbHo structure, as listed in the Materials Project.

As for the space-group type: No. 187.

Cell lengths 3.599, 3.599, 5.728 Å; angles 90.00, 90.00, 120.00 degrees
Fractional coordinates of all 2 atoms:
Ho 0.333 0.667 0.500
Tb 0.000 0.000 0.000

---

First-principles (PBE) data for a geometry-optimized Ba3Pt2O7 structure, as listed in the Materials Project.

As for the space-group type: No. 9. The spin magnetization is 0.0 μB per formula unit.

Cell lengths 10.241, 10.241, 8.858 Å; angles 89.77, 89.77, 119.85 degrees
Fractional coordinates of all 48 atoms:
Pt 0.327 0.654 0.910
Pt 0.654 0.327 0.410
Pt 0.004 0.988 0.863
Pt 0.392 0.726 0.249
Pt 0.330 0.664 0.588
Pt 0.726 0.392 0.749
Pt 0.664 0.330 0.088
Pt 0.988 0.004 0.363
O 0.803 0.321 0.928
O 0.836 0.820 0.982
O 0.982 0.162 0.486
O 0.820 0.836 0.482
O 0.018 0.828 0.751
O 0.031 0.851 0.288
O 0.524 0.347 0.246
O 0.851 0.031 0.788
O 0.660 0.473 0.571
O 0.823 0.483 0.253
O 0.474 0.666 0.428
O 0.316 0.791 0.070
O 0.175 0.172 0.764
O 0.791 0.316 0.570
O 0.473 0.162 0.517
O 0.321 0.803 0.428
O 0.162 0.473 0.017
O 0.347 0.524 0.746
O 0.172 0.175 0.264
O 0.666 0.474 0.928
O 0.483 0.823 0.753
O 0.162 0.496 0.476
O 0.473 0.660 0.071
O 0.184 0.658 0.750
O 0.828 0.018 0.251
O 0.658 0.184 0.250
O 0.162 0.982 0.986
O 0.496 0.162 0.976
Ba 0.330 0.024 0.237
Ba 0.683 0.704 0.737
Ba 0.674 0.006 0.504
Ba 0.659 0.994 0.006
Ba 0.998 0.331 0.253
Ba 0.331 0.998 0.753
Ba 0.006 0.674 0.004
Ba 0.704 0.683 0.237
Ba 0.327 0.334 0.506
Ba 0.994 0.659 0.506
Ba 0.334 0.327 0.006
Ba 0.024 0.330 0.737

---

First-principles (PBE) data for a geometry-optimized Pb2O3 structure, as listed in the Materials Project.

As for the space-group type: No. 31. The spin magnetization is 0.0 μB per formula unit. As for the maximum piezoelectric response: 1.61 C/m2.

Cell lengths 3.574, 5.770, 7.424 Å; angles 90.00, 90.00, 90.00 degrees
Fractional coordinates of all 10 atoms:
Pb 0.500 0.143 0.385
Pb 0.000 0.168 0.899
Pb 0.000 0.643 0.615
Pb 0.500 0.668 0.101
O 0.000 0.211 0.591
O 0.500 0.924 0.853
O 0.500 0.421 0.860
O 0.000 0.424 0.147
O 0.000 0.921 0.140
O 0.500 0.711 0.409

---

First-principles (PBE) data for a geometry-optimized Zn3CrSe4 structure, as listed in the Materials Project.

As for the space-group type: No. 215. The spin magnetization is 4.0 μB per formula unit.

Cell lengths 5.764, 5.764, 5.764 Å; angles 90.00, 90.00, 90.00 degrees
Fractional coordinates of all 8 atoms:
Se 0.749 0.749 0.251
Se 0.251 0.251 0.251
Se 0.251 0.749 0.749
Se 0.749 0.251 0.749
Zn 0.500 0.000 0.500
Zn 0.500 0.500 0.000
Zn 0.000 0.500 0.500
Cr 0.000 0.000 0.000

---

| no. | ΔE_f (eV per atom) | VASP energy (eV/atom) |
| --- | --- | --- |
| 1 | -0.62 | -4.23 |
| 2 | -0.27 | -4.31 |
| 3 | -2.24 | -7.43 |
| 4 | -1.87 | -8.50 |
| 5 | -0.31 | -3.10 |
| 6 | -1.94 | -3.38 |
| 7 | 0.02 | -4.59 |
| 8 | -2.03 | -6.01 |
| 9 | -1.32 | -5.36 |
| 10 | -0.76 | -3.96 |